[1]
VASP calculation (GGA-PBE) on a relaxed structure of AlF3.

```
data_AlF3
_symmetry_space_group_name_H-M 'P 4/m b m'
_symmetry_Int_Tables_number 127
_symmetry_space_group_name_Hall '-P 4 2ab'
_cell_length_a 11.630
_cell_length_b 11.630
_cell_length_c 3.641
_cell_angle_alpha 90.00
_cell_angle_beta 90.00
_cell_angle_gamma 90.00
loop_
_atom_site_label
_atom_site_fract_x
_atom_site_fract_y
_atom_site_fract_z
Al1 0.000 0.500 0.000
Al2 0.076 0.208 0.000
F1 0.000 0.345 0.000
F2 0.000 0.500 0.500
F3 0.067 0.859 0.000
F4 0.077 0.208 0.500
F5 0.215 0.285 0.000
```

---

[2]
VASP calculation (GGA-PBE) on a relaxed structure of AlF3.

```
data_AlF3
_symmetry_space_group_name_H-M 'P 1'
_symmetry_Int_Tables_number 1
_cell_length_a 3.639
_cell_length_b 5.323
_cell_length_c 5.905
_cell_angle_alpha 64.00
_cell_angle_beta 89.39
_cell_angle_gamma 89.09
loop_
_symmetry_equiv_pos_as_xyz
'x,y,z'
loop_
_atom_site_label
_atom_site_fract_x
_atom_site_fract_y
_atom_site_fract_z
Al1 0.000 0.000 0.000
Al2 0.000 0.275 0.461
F1 0.000 0.139 0.230
F2 0.000 0.638 0.231
F3 0.007 0.920 0.726
F4 0.500 0.281 0.452
F5 0.500 0.993 0.009
F6 0.993 0.355 0.735
```

---

[3]
VASP calculation (GGA-PBE) on a relaxed structure of AlF3.

```
data_AlF3
_symmetry_space_group_name_H-M 'C 1 2/c 1'
_symmetry_Int_Tables_number 15
_cell_length_a 8.761
_cell_length_b 5.106
_cell_length_c 4.981
_cell_angle_alpha 90.00
_cell_angle_beta 124.18
_cell_angle_gamma 90.00
loop_
_symmetry_equiv_pos_as_xyz
'x,y,z'
'-x,-y,-z'
'-x,y,-z+1/2'
'x,-y,z+1/2'
'x+1/2,y+1/2,z'
'-x+1/2,-y+1/2,-z'
'-x+1/2,y+1/2,-z+1/2'
'x+1/2,-y+1/2,z+1/2'
loop_
_atom_site_label
_atom_site_fract_x
_atom_site_fract_y
_atom_site_fract_z
Al1 0.250 0.250 0.000
F1 0.000 0.237 0.750
F2 0.242 0.446 0.304
```

---

[4]
VASP calculation (GGA-PBE) on a relaxed structure of AlF3.

```
data_AlF3
_symmetry_space_group_name_H-M 'C m c m'
_symmetry_Int_Tables_number 63
_symmetry_space_group_name_Hall '-C 2c 2'
_cell_length_a 7.020
_cell_length_b 12.142
_cell_length_c 7.235
_cell_angle_alpha 90.00
_cell_angle_beta 90.00
_cell_angle_gamma 90.00
loop_
_atom_site_label
_atom_site_fract_x
_atom_site_fract_y
_atom_site_fract_z
Al1 0.000 0.000 0.000
Al2 0.250 0.250 0.000
F1 0.000 0.018 0.250
F2 0.000 0.288 0.026
F3 0.184 0.105 0.520
F4 0.229 0.265 0.750
```

---

[5]
# AlF3 GGA-PBE relaxed
# Maximum piezoelectric response = 0.9 C/m2
data_AlF3
_symmetry_space_group_name_H-M 'P 1'
_symmetry_Int_Tables_number 1
_cell_length_a 3.459
_cell_length_b 4.822
_cell_length_c 5.451
_cell_angle_alpha 73.26
_cell_angle_beta 71.66
_cell_angle_gamma 69.07
loop_
_symmetry_equiv_pos_as_xyz
'x,y,z'
loop_
_atom_site_label
_atom_site_fract_x
_atom_site_fract_y
_atom_site_fract_z
Al1 0.000 0.000 0.000
Al2 0.014 0.377 0.489
F1 0.172 0.970 0.652
F2 0.183 0.281 0.183
F3 0.495 0.409 0.500
F4 0.562 0.877 0.979
F5 0.822 0.391 0.842
F6 0.912 0.789 0.328

---

[6]
VASP calculation (GGA-PBE) on a relaxed structure of AlF3.

```
data_AlF3
_symmetry_space_group_name_H-M 'P 1'
_symmetry_Int_Tables_number 1
_cell_length_a 10.207
_cell_length_b 10.745
_cell_length_c 11.068
_cell_angle_alpha 91.01
_cell_angle_beta 91.63
_cell_angle_gamma 91.21
loop_
_symmetry_equiv_pos_as_xyz
'x,y,z'
loop_
_atom_site_label
_atom_site_fract_x
_atom_site_fract_y
_atom_site_fract_z
Al1 0.000 0.000 0.000
Al2 0.006 0.660 0.538
Al3 0.079 0.932 0.699
Al4 0.131 0.661 0.313
Al5 0.186 0.299 0.950
Al6 0.222 0.210 0.643
Al7 0.233 0.346 0.268
Al8 0.263 0.594 0.861
Al9 0.287 0.825 0.077
Al10 0.425 0.037 0.573
Al11 0.429 0.718 0.492
Al12 0.456 0.448 0.629
Al13 0.469 0.200 0.308
Al14 0.484 0.845 0.851
Al15 0.507 0.310 0.916
Al16 0.561 0.998 0.148
Al17 0.577 0.682 0.197
Al18 0.705 0.687 0.672
Al19 0.776 0.003 0.584
Al20 0.789 0.201 0.837
Al21 0.797 0.324 0.338
Al22 0.852 0.719 0.123
Al23 0.883 0.011 0.285
Al24 0.897 0.296 0.626
Al25 0.924 0.502 0.869
F1 0.003 0.667 0.195
F2 0.011 0.779 0.660
F3 0.019 0.937 0.847
F4 0.022 0.561 0.401
F5 0.026 0.009 0.365
F6 0.042 0.390 0.942
F7 0.043 0.771 0.424
F8 0.064 0.266 0.584
F9 0.087 0.584 0.835
F10 0.102 0.316 0.350
F11 0.111 0.147 0.968
F12 0.120 0.576 0.608
F13 0.143 0.088 0.727
F14 0.146 0.922 0.053
F15 0.199 0.324 0.112
F16 0.202 0.297 0.789
F17 0.210 0.517 0.257
F18 0.214 0.695 0.987
F19 0.219 0.770 0.216
F20 0.231 0.882 0.681
F21 0.249 0.084 0.533
F22 0.263 0.693 0.423
F23 0.281 0.458 0.948
F24 0.298 0.178 0.265
F25 0.310 0.341 0.585
F26 0.329 0.521 0.733
F27 0.338 0.888 0.926
F28 0.360 0.238 0.954
F29 0.385 0.954 0.139
F30 0.388 0.149 0.692
F31 0.398 0.730 0.644
F32 0.402 0.362 0.311
F33 0.410 0.896 0.487
F34 0.413 0.687 0.868
F35 0.422 0.548 0.506
F36 0.429 0.728 0.100
F37 0.451 0.165 0.464
F38 0.474 0.949 0.733
F39 0.486 0.355 0.769
F40 0.492 0.713 0.341
F41 0.516 0.167 0.136
F42 0.530 0.044 0.305
F43 0.535 0.531 0.196
F44 0.564 0.431 0.994
F45 0.566 0.366 0.548
F46 0.568 0.939 0.981
F47 0.596 0.554 0.692
F48 0.603 0.028 0.567
F49 0.604 0.851 0.205
F50 0.606 0.722 0.539
F51 0.626 0.195 0.903
F52 0.627 0.772 0.800
F53 0.632 0.278 0.328
F54 0.688 0.708 0.054
F55 0.731 0.041 0.174
F56 0.739 0.292 0.706
F57 0.750 0.657 0.249
F58 0.754 0.059 0.745
F59 0.770 0.847 0.643
F60 0.783 0.969 0.422
F61 0.813 0.366 0.905
F62 0.819 0.619 0.790
F63 0.824 0.163 0.547
F64 0.836 0.632 0.564
F65 0.838 0.417 0.228
F66 0.847 0.376 0.484
F67 0.861 0.100 0.950
F68 0.862 0.180 0.316
F69 0.867 0.853 0.232
F70 0.899 0.591 0.005
F71 0.907 0.846 0.020
F72 0.937 0.436 0.713
F73 0.943 0.213 0.766
F74 0.954 0.992 0.608
F75 0.972 0.056 0.146
```

---

no.,formation enthalpy at 0 K (meV per atom)
1,-3863.0
2,-3832.9
3,-3858.8
4,-3866.6
5,-3596.3
6,-3695.5